Below is a geometry-optimized Na6Nb8Zn16Si3S33O144 structure, with properties calculated at the PBE-GGA level.

a b c (Å): 8.778 15.213 22.718
angles (deg): 89.92 89.82 89.99
Atoms (fractional coordinates):
1 Na 0.000 0.000 0.000
2 Na 0.003 0.999 0.506
3 Na 0.012 0.666 0.158
4 Na 0.494 0.158 0.666
5 Na 0.498 0.507 0.496
6 Na 0.502 0.501 0.005
7 Nb 0.003 0.330 0.980
8 Nb 0.005 0.669 0.810
9 Nb 0.008 0.328 0.477
10 Nb 0.013 0.667 0.312
11 Nb 0.014 0.326 0.689
12 Nb 0.498 0.828 0.478
13 Nb 0.502 0.830 0.983
14 Nb 0.503 0.165 0.307
15 Zn 0.003 0.997 0.348
16 Zn 0.004 0.333 0.186
17 Zn 0.006 0.997 0.147
18 Zn 0.008 0.003 0.847
19 Zn 0.010 0.667 0.520
20 Zn 0.014 0.666 0.022
21 Zn 0.016 0.001 0.646
22 Zn 0.495 0.161 0.523
23 Zn 0.497 0.825 0.185
24 Zn 0.498 0.157 0.818
25 Zn 0.498 0.838 0.687
26 Zn 0.499 0.507 0.349
27 Zn 0.499 0.510 0.145
28 Zn 0.502 0.505 0.649
29 Zn 0.503 0.496 0.851
30 Zn 0.505 0.164 0.019
31 Si 0.155 0.179 0.582
32 Si 0.294 0.657 0.421
33 Si 0.351 0.681 0.088
34 S 0.141 0.145 0.250
35 S 0.146 0.813 0.917
36 S 0.148 0.477 0.584
37 S 0.151 0.521 0.917
38 S 0.151 0.856 0.250
39 S 0.211 0.495 0.250
40 S 0.211 0.830 0.585
41 S 0.213 0.163 0.918
42 S 0.295 0.329 0.084
43 S 0.297 0.999 0.750
44 S 0.355 0.022 0.417
45 S 0.358 0.980 0.084
46 S 0.365 0.309 0.417
47 S 0.365 0.644 0.751
48 S 0.366 0.353 0.749
49 S 0.644 0.312 0.917
50 S 0.650 0.646 0.250
51 S 0.650 0.976 0.584
52 S 0.651 0.686 0.585
53 S 0.652 0.359 0.250
54 S 0.654 0.020 0.917
55 S 0.715 0.334 0.584
56 S 0.715 0.994 0.250
57 S 0.716 0.664 0.918
58 S 0.790 0.163 0.418
59 S 0.792 0.499 0.750
60 S 0.795 0.834 0.085
61 S 0.850 0.142 0.749
62 S 0.853 0.857 0.750
63 S 0.856 0.186 0.085
64 S 0.856 0.521 0.418
65 S 0.858 0.476 0.084
66 S 0.861 0.813 0.418
67 O 0.061 0.091 0.584
68 O 0.071 0.560 0.579
69 O 0.072 0.763 0.258
70 O 0.075 0.432 0.923
71 O 0.075 0.891 0.197
72 O 0.077 0.240 0.526
73 O 0.078 0.771 0.968
74 O 0.080 0.105 0.304
75 O 0.080 0.562 0.863
76 O 0.081 0.900 0.908
77 O 0.083 0.430 0.637
78 O 0.086 0.234 0.243
79 O 0.105 0.247 0.639
80 O 0.106 0.421 0.243
81 O 0.106 0.578 0.259
82 O 0.107 0.088 0.912
83 O 0.110 0.245 0.928
84 O 0.114 0.419 0.530
85 O 0.117 0.753 0.576
86 O 0.117 0.754 0.863
87 O 0.118 0.905 0.304
88 O 0.122 0.574 0.969
89 O 0.122 0.912 0.585
90 O 0.133 0.089 0.198
91 O 0.171 0.676 0.078
92 O 0.182 0.678 0.361
93 O 0.185 0.342 0.029
94 O 0.188 0.653 0.763
95 O 0.189 0.346 0.740
96 O 0.189 0.983 0.085
97 O 0.190 0.647 0.476
98 O 0.191 0.009 0.408
99 O 0.191 0.317 0.423
100 O 0.199 0.317 0.136
101 O 0.202 0.015 0.697
102 O 0.205 0.986 0.804
103 O 0.298 0.184 0.864
104 O 0.299 0.484 0.303
105 O 0.299 0.517 0.197
106 O 0.304 0.151 0.971
107 O 0.308 0.818 0.636
108 O 0.313 0.842 0.245
109 O 0.315 0.480 0.588
110 O 0.315 0.508 0.908
111 O 0.316 0.818 0.922
112 O 0.319 0.154 0.262
113 O 0.320 0.842 0.530
114 O 0.336 0.184 0.581
115 O 0.371 0.589 0.698
116 O 0.380 0.075 0.469
117 O 0.380 0.406 0.802
118 O 0.383 0.744 0.141
119 O 0.385 0.251 0.072
120 O 0.385 0.410 0.085
121 O 0.387 0.252 0.364
122 O 0.393 0.920 0.030
123 O 0.393 0.921 0.744
124 O 0.395 0.080 0.755
125 O 0.396 0.752 0.428
126 O 0.411 0.578 0.411
127 O 0.421 0.733 0.743
128 O 0.423 0.263 0.755
129 O 0.424 0.941 0.137
130 O 0.425 0.065 0.073
131 O 0.426 0.397 0.408
132 O 0.427 0.064 0.363
133 O 0.427 0.269 0.470
134 O 0.427 0.604 0.804
135 O 0.428 0.394 0.696
136 O 0.431 0.739 0.027
137 O 0.433 0.934 0.423
138 O 0.443 0.589 0.083
139 O 0.573 0.390 0.198
140 O 0.573 0.599 0.586
141 O 0.577 0.263 0.263
142 O 0.579 0.733 0.530
143 O 0.580 0.273 0.970
144 O 0.582 0.931 0.928
145 O 0.582 0.937 0.636
146 O 0.583 0.065 0.576
147 O 0.584 0.056 0.864
148 O 0.585 0.403 0.911
149 O 0.587 0.606 0.303
150 O 0.592 0.735 0.244
151 O 0.608 0.923 0.242
152 O 0.612 0.079 0.262
153 O 0.612 0.922 0.529
154 O 0.615 0.588 0.908
155 O 0.620 0.739 0.636
156 O 0.621 0.407 0.304
157 O 0.622 0.414 0.589
158 O 0.625 0.747 0.922
159 O 0.628 0.074 0.970
160 O 0.628 0.253 0.579
161 O 0.629 0.260 0.864
162 O 0.639 0.589 0.198
163 O 0.686 0.160 0.756
164 O 0.690 0.821 0.425
165 O 0.691 0.476 0.085
166 O 0.692 0.837 0.743
167 O 0.693 0.178 0.364
168 O 0.693 0.846 0.029
169 O 0.694 0.179 0.073
170 O 0.695 0.503 0.409
171 O 0.698 0.153 0.470
172 O 0.704 0.482 0.803
173 O 0.704 0.519 0.697
174 O 0.704 0.824 0.137
175 O 0.803 0.985 0.304
176 O 0.804 0.019 0.198
177 O 0.810 0.651 0.970
178 O 0.813 0.339 0.243
179 O 0.813 0.678 0.572
180 O 0.815 0.346 0.529
181 O 0.817 0.326 0.637
182 O 0.817 0.676 0.863
183 O 0.817 0.980 0.586
184 O 0.818 0.321 0.928
185 O 0.821 0.007 0.910
186 O 0.825 0.655 0.260
187 O 0.879 0.091 0.697
188 O 0.879 0.574 0.471
189 O 0.881 0.907 0.804
190 O 0.884 0.757 0.364
191 O 0.885 0.247 0.423
192 O 0.885 0.754 0.075
193 O 0.886 0.239 0.136
194 O 0.890 0.915 0.085
195 O 0.893 0.089 0.409
196 O 0.896 0.578 0.761
197 O 0.897 0.423 0.740
198 O 0.899 0.419 0.029
199 O 0.924 0.112 0.803
200 O 0.924 0.236 0.739
201 O 0.924 0.563 0.075
202 O 0.924 0.773 0.470
203 O 0.924 0.902 0.409
204 O 0.926 0.436 0.136
205 O 0.928 0.234 0.030
206 O 0.928 0.562 0.365
207 O 0.930 0.763 0.763
208 O 0.932 0.889 0.697
209 O 0.934 0.100 0.086
210 O 0.937 0.433 0.426

* energy relative to the elements: -2065 meV/atom
* total moment: 0.00 Bohr magnetons per cell